Below is an optimized crystal structure of MnH19C6I3N2, with properties calculated at the PBE level.

Summary:
E	-5.0039	eV/atom
calculated formation energy	-0.1807	eV/atom

The structure in CIF format:
```
data_MnH19C6I3N2
_chemical_formula_sum 'Mn4 H76 C24 I12 N8'
_cell_length_a 13.370
_cell_length_b 10.980
_cell_length_c 12.038
_cell_angle_alpha 90.00
_cell_angle_beta 95.92
_cell_angle_gamma 90.00
_symmetry_space_group_name_H-M 'P 1 21/c 1'
_symmetry_Int_Tables_number 14
_symmetry_space_group_name_Hall '-P 2ybc'
loop_
_atom_site_label
_atom_site_type_symbol
_atom_site_fract_x
_atom_site_fract_y
_atom_site_fract_z
_atom_site_occupancy
Mn1 Mn 0.236 0.051 0.315 1
H1 H 0.006 0.006 0.211 1
H2 H 0.014 0.728 0.731 1
H3 H 0.022 0.157 0.372 1
H4 H 0.026 0.633 0.381 1
H5 H 0.077 0.035 0.096 1
H6 H 0.087 0.193 0.619 1
H7 H 0.101 0.214 0.859 1
H8 H 0.187 0.204 0.095 1
H9 H 0.202 0.195 0.711 1
H10 H 0.207 0.564 0.226 1
H11 H 0.234 0.665 0.343 1
H12 H 0.273 0.508 0.355 1
H13 H 0.339 0.004 0.621 1
H14 H 0.345 0.694 0.204 1
H15 H 0.402 0.737 0.390 1
H16 H 0.410 0.063 0.745 1
H17 H 0.449 0.585 0.409 1
H18 H 0.466 0.545 0.157 1
H19 H 0.497 0.186 0.186 1
C1 C 0.036 0.078 0.160 1
C2 C 0.050 0.221 0.313 1
C3 C 0.148 0.249 0.159 1
C4 C 0.260 0.587 0.298 1
C5 C 0.396 0.516 0.190 1
C6 C 0.434 0.660 0.349 1
I1 I 0.157 0.597 0.958 1
I2 I 0.311 0.573 0.649 1
I3 I 0.362 0.218 0.414 1
N1 N 0.106 0.157 0.231 1
N2 N 0.359 0.618 0.257 1
```